#i
This record from the Materials Project database describes crystalline V3F10 at its relaxed geometry. The functional is PBE+U.

a = 6.4314 Å, b = 7.3121 Å, c = 7.7006 Å
α = 90.00°, β = 90.00°, γ = 90.00°
Closest atoms and distances in Å follow each position.
Space group P222_1 (No. 17)
Unique sites:
1 V 0.0000 0.0019 0.2500  6 F 1.97-1.98
2 V 0.5000 0.2724 0.7500  7 F 1.90-2.02
3 V 0.5000 0.2735 0.2500  7 F 1.99-2.09
4 F 0.0675 0.0000 0.0000  2 V 1.97
5 F 0.2039 0.1935 0.7025  2 V 1.97-2.02
6 F 0.2052 0.1993 0.2885  2 V 1.98-1.99
7 F 0.3366 0.4911 0.7042  2 V 1.95-2.05
8 F 0.4304 0.2711 0.9910  2 V 1.91-2.04
9 F 0.5000 0.0122 0.7500  2 V 1.90-2.09

Computed properties:
Total moment (μB per cell): 10.00

---

#ii
This record from the Materials Project database describes crystalline V3F10 at its relaxed geometry. The functional is PBE+U.

a = 6.4530 Å, b = 7.1955 Å, c = 7.6805 Å
α = 90.00°, β = 90.00°, γ = 90.00°
Closest atoms and distances in Å follow each position.
Space group P222_1 (No. 17)
Unique sites:
1 V 0.0000 0.9996 0.2500  6 F 1.92-1.94
2 V 0.5000 0.2718 0.2500  7 F 1.95-2.02
3 V 0.5000 0.2725 0.7500  7 F 1.95-2.01
4 F 0.0378 0.0000 0.0000  2 V 1.94
5 F 0.2008 0.1955 0.2751  2 V 1.92-2.02
6 F 0.2025 0.1958 0.7254  2 V 1.93-2.01
7 F 0.3358 0.4996 0.2959  2 V 1.98
8 F 0.4489 0.2658 0.9998  2 V 1.95
9 F 0.5000 0.0004 0.2500  2 V 1.95-1.96

Computed properties:
Total moment (μB per cell): 10.00

---

#iii
This record from the Materials Project database describes crystalline V3F10 at its relaxed geometry. The functional is PBE+U.

a = 3.9476 Å, b = 5.8796 Å, c = 15.5776 Å
α = 90.00°, β = 90.58°, γ = 90.00°
Closest atoms and distances in Å follow each position.
Space group Pc (No. 7)
Unique sites:
1 V 0.0000 0.0022 0.0000  7 F 1.92-2.05
2 V 0.0066 0.4417 0.8603  7 F 1.96-2.08
3 V 0.0105 0.4659 0.1545  6 F 1.96-2.06
4 F 0.0103 0.2719 0.4248  2 V 1.96-1.99
5 F 0.0281 0.2928 0.7449  2 V 2.00
6 F 0.0431 0.3486 0.9890  2 V 2.05-2.08, 1 F 2.25
7 F 0.4978 0.0017 0.5005  2 V 1.97-1.98
8 F 0.5052 0.4578 0.1466  2 V 1.96-2.00
9 F 0.5064 0.4447 0.8604  2 V 1.97
10 F 0.9628 0.1037 0.8797  2 V 1.97-2.02
11 F 0.9865 0.3135 0.2665  2 V 1.96-2.05
12 F 0.9895 0.2668 0.5792  2 V 1.96-2.01
13 F 0.9921 0.1337 0.1126  2 V 1.92-2.06

Computed properties:
Total moment (μB per cell): 10.00

---

Most stable = #i

---

#i
This record from the Materials Project database describes crystalline ZnWF4 at its relaxed geometry. The functional is PBE+U.

a = 5.8881 Å, b = 5.9036 Å, c = 6.8683 Å
α = 115.25°, β = 115.29°, γ = 90.04°
Closest atoms and distances in Å follow each position.
Space group P1 (No. 1)
Unique sites:
1 Zn 0.0000 0.0000 0.0000  8 F 2.49-2.60
2 Zn 0.4988 0.5005 0.0022  8 F 2.53-2.60
3 W 0.2484 0.7562 0.5029  4 F 2.02-2.03
4 W 0.7489 0.2550 0.5026  4 F 2.03
5 F 0.0496 0.2092 0.7634  1 W 2.03
6 F 0.2014 0.7145 0.7624  1 W 2.03
7 F 0.2934 0.8016 0.2434  1 W 2.03
8 F 0.4438 0.2990 0.2438  1 W 2.03
9 F 0.5544 0.0575 0.7603  1 W 2.03
10 F 0.7006 0.5597 0.7580  1 W 2.03
11 F 0.8009 0.9551 0.2480  1 W 2.03
12 F 0.9456 0.4534 0.2485  1 W 2.02

Computed properties:
Total moment (μB per cell): 6.00

---

#ii
This record from the Materials Project database describes crystalline ZnWF4 at its relaxed geometry. The functional is PBE+U.

a = 12.4238 Å, b = 5.9036 Å, c = 5.8881 Å
α = 90.00°, β = 118.20°, γ = 90.00°
Closest atoms and distances in Å follow each position.
Space group C2 (No. 5)
Unique sites:
1 Zn 0.0000 0.0000 0.0000  8 F 2.52-2.55
2 Zn 0.0000 0.4994 0.5000  8 F 2.54-2.60
3 W 0.2502 0.0037 0.7501  4 F 2.02-2.03
4 F 0.1194 0.3275 0.9492  1 W 2.03
5 F 0.1209 0.1773 0.4444  1 W 2.03
6 F 0.1221 0.6807 0.2982  1 W 2.03
7 F 0.1229 0.8311 0.8021  1 W 2.02

Computed properties:
Total moment (μB per cell): 4.00

---

Most stable = #i